Here is Y2Ni2Sn after structural relaxation from the Materials Project. Energies are from PBE-GGA.

Results
ΔH_f (0 K) = -0.590 eV/atom
electronic total energy = -6.29 eV/atom

Unit cell a=4.276 b=5.633 c=8.303 alpha=90.00 beta=90.00 gamma=90.00
Element x y z (fractional)
1 Y 0.000 0.000 0.204
2 Y 0.000 0.000 0.796
3 Y 0.500 0.500 0.296
4 Y 0.500 0.500 0.704
5 Ni 0.000 0.286 0.500
6 Ni 0.000 0.714 0.500
7 Ni 0.500 0.214 0.000
8 Ni 0.500 0.786 0.000
9 Sn 0.000 0.500 0.000
10 Sn 0.500 0.000 0.500